1.
Material: Cs3LiCl4
Method: DFT, PBE
State: relaxed

Cell and atoms, written as POSCAR:
```
Cs3LiCl4
1.0
8.1153 0.0000 0.0000
0.0000 8.1153 0.0000
0.0000 0.0000 4.0280
Cl Cs Li
4 3 1
Direct
0.2326 0.2326 0.5000
0.7674 0.7674 0.5000
0.7674 0.2326 0.5000
0.2326 0.7674 0.5000
0.0000 0.5000 0.0000
0.5000 0.0000 0.0000
0.5000 0.5000 0.0000
0.0000 0.0000 0.0000
```

Energy with MP2020 corrections (eV/atom): -3.51
Polymorph energy (0 for the lowest one) (eV per atom): 0.155
Space group: P4/mmm
DFT formation energy (eV per atom): -2.014

2.
Material: PaTc2Ge
Method: DFT, PBE
State: relaxed

Cell and atoms, written as POSCAR:
```
PaTc2Ge
1.0
0.0000 3.2674 3.2674
3.2674 0.0000 3.2674
3.2674 3.2674 0.0000
Pa Tc Ge
1 2 1
Direct
0.7500 0.7500 0.7500
0.0000 0.0000 0.0000
0.5000 0.5000 0.5000
0.2500 0.2500 0.2500
```

Space group: Fm-3m
DFT formation energy (eV per atom): -0.259

3.
Material: MgSb2P2H2O10
Method: DFT, PBE
State: relaxed

Cell and atoms, written as POSCAR:
```
MgSb2P2H2O10
1.0
-3.5480 -2.8382 3.5455
0.4771 -5.4844 -6.9339
4.2102 -0.1925 3.0575
P O H Sb Mg
2 10 2 2 1
Direct
0.3672 0.1989 0.6753
0.6097 0.7529 0.3041
0.9910 0.3574 0.2248
0.6015 0.7961 0.0457
0.2068 0.3197 0.7189
0.6410 0.2869 0.7535
0.2992 0.0596 0.3567
0.0765 0.7944 0.8335
0.7786 0.6346 0.2949
0.3520 0.6735 0.3399
0.7100 0.9169 0.5982
0.3188 0.0904 0.8574
0.9534 0.7273 0.6480
0.1325 0.4133 0.3866
0.0153 0.0304 0.0350
0.9680 0.4851 0.9844
0.4130 0.8540 0.7682
```

Energy with MP2020 corrections (eV/atom): -6.75
Polymorph energy (0 for the lowest one) (eV per atom): 0.000
Space group: P1
DFT formation energy (eV per atom): -2.228

4.
Material: TbAgS2
Method: DFT, PBE
State: relaxed

Cell and atoms, written as POSCAR:
```
TbAgS2
1.0
7.6773 0.0000 0.0000
0.0000 7.6797 0.0000
0.0000 0.0144 12.6520
Tb S Ag
8 16 8
Direct
0.7753 0.4979 0.7458
0.2833 0.9988 0.7531
0.0296 0.7470 0.9966
0.5279 0.7538 0.4973
0.0279 0.2462 0.5027
0.2753 0.5021 0.2542
0.7833 0.0012 0.2469
0.5296 0.2530 0.0034
0.7536 0.5254 0.9657
0.0056 0.7271 0.2146
0.8024 0.9759 0.4651
0.5056 0.2729 0.7854
0.5082 0.7721 0.2772
0.2586 0.5197 0.4733
0.7586 0.4803 0.5267
0.5497 0.2720 0.2229
0.3024 0.0241 0.5349
0.5524 0.7722 0.7151
0.3012 0.9785 0.9731
0.0497 0.7280 0.7771
0.0082 0.2279 0.7228
0.8012 0.0215 0.0269
0.0524 0.2278 0.2849
0.2536 0.4746 0.0343
0.5306 0.7553 0.9770
0.0287 0.7458 0.4738
0.7785 0.4974 0.1993
0.2811 0.0003 0.2865
0.0306 0.2447 0.0230
0.2785 0.5026 0.8007
0.5287 0.2542 0.5262
0.7811 0.9997 0.7135
```

Energy with MP2020 corrections (eV/atom): -5.50
Space group: P2_1
DFT formation energy (eV per atom): -1.569

5.
Material: Al4SiPd
Method: DFT, PBE
State: relaxed

Cell and atoms, written as POSCAR:
```
Al4SiPd
1.0
-5.7629 -0.1374 -4.5051
-2.3055 -0.6591 -6.9120
-3.9094 -3.9477 -4.7600
Al Si Pd
4 1 1
Direct
0.1202 0.1202 0.1202
0.6296 0.6296 0.6296
0.3704 0.3704 0.3704
0.8798 0.8798 0.8798
0.5000 0.5000 0.5000
0.0000 0.0000 0.0000
```

Space group: R-3m
DFT formation energy (eV per atom): -0.306

6.
Material: Sr2NbBiO6
Method: DFT, PBE
State: relaxed

Cell and atoms, written as POSCAR:
```
Sr2NbBiO6
1.0
0.0000 -4.3021 -4.3021
4.3021 0.0000 -4.3021
4.3021 -4.3021 0.0000
O Sr Bi Nb
6 2 1 1
Direct
0.2670 0.7330 0.2670
0.2670 0.2670 0.7330
0.7330 0.7330 0.2670
0.2670 0.7330 0.7330
0.7330 0.2670 0.2670
0.7330 0.2670 0.7330
0.2500 0.2500 0.2500
0.7500 0.7500 0.7500
0.0000 0.0000 0.0000
0.5000 0.5000 0.5000
```

Energy with MP2020 corrections (eV/atom): -7.44
Polymorph energy (0 for the lowest one) (eV per atom): 0.081
Space group: Fm-3m
DFT formation energy (eV per atom): -2.739

- Among the records above, which one has the highest DFT formation energy?
  PaTc2Ge

Copy entry 2 word for word.
Material: PaTc2Ge
Method: DFT, PBE
State: relaxed

Cell and atoms, written as POSCAR:
```
PaTc2Ge
1.0
0.0000 3.2674 3.2674
3.2674 0.0000 3.2674
3.2674 3.2674 0.0000
Pa Tc Ge
1 2 1
Direct
0.7500 0.7500 0.7500
0.0000 0.0000 0.0000
0.5000 0.5000 0.5000
0.2500 0.2500 0.2500
```

Space group: Fm-3m
DFT formation energy (eV per atom): -0.259

- Number 2 is which compound?
  PaTc2Ge